Compound: Hf2P2SO12
Source: Materials Project
Functional: GGA-PBE
Structure: relaxed

```
102
Lattice="-1.050 -6.666 -5.776 7.511 4.762 -0.031 9.225 -14.547 15.112" Properties=species:S:1:pos:R:3 pbc="T T T"
Hf 2.258 -11.830 -0.395
Hf 7.917 -12.460 12.918
Hf 4.941 -15.956 3.999
Hf 1.356 -2.156 2.098
Hf 8.186 -12.870 6.557
Hf 3.570 -5.619 -1.018
Hf 10.870 -16.996 10.952
Hf 6.235 -9.862 3.274
Hf 4.890 0.638 -1.602
Hf 9.499 -6.658 5.934
Hf 7.573 -3.488 2.792
Hf 12.164 -10.902 10.227
P 2.029 -5.555 2.113
P 4.463 -2.272 3.765
P 8.775 -11.453 9.668
P 6.195 -15.660 7.216
P 6.907 -13.261 3.289
P 9.341 -9.978 4.941
P 4.428 -4.611 -4.268
P 2.899 -2.152 -0.944
P 12.836 -14.301 10.241
P 15.270 -11.017 11.893
P 10.357 -5.651 2.685
P 8.828 -3.192 6.008
S 6.913 -4.982 -0.354
S 12.271 -7.525 11.301
S 5.331 -10.784 6.629
S 0.414 -5.446 -2.603
S 11.260 -11.824 13.581
S 6.342 -6.485 4.349
O 2.813 -5.631 3.430
O 7.867 -6.100 -0.198
O 3.080 -10.074 -1.020
O 8.500 -12.218 10.981
O 12.323 -14.372 6.493
O 6.768 -17.075 7.372
O 12.866 -10.822 5.889
O 7.734 -10.325 9.509
O 12.564 -6.447 10.346
O 7.153 -4.238 -1.599
O 3.275 -2.075 2.800
O 8.909 0.611 1.937
O 7.691 -13.337 4.606
O 6.285 -11.902 6.785
O 9.008 -11.114 5.932
O 4.154 -5.376 -2.955
O 1.515 -5.626 -1.635
O 3.472 -3.567 -0.787
O 2.059 -2.077 -2.239
O 3.387 -3.484 -4.427
O 0.706 -4.368 -3.559
O 5.571 -10.040 5.385
O 8.154 -9.780 3.976
O 6.277 -11.857 3.145
O 13.620 -14.376 11.558
O 12.214 -12.942 13.738
O 14.937 -12.153 12.885
O 10.083 -6.416 3.998
O 7.444 -6.666 5.317
O 9.401 -4.607 6.165
O 7.988 -3.117 4.713
O 9.316 -4.524 2.526
O 6.635 -5.407 3.393
O 11.500 -11.080 12.337
O 14.083 -10.820 10.928
O 12.205 -12.897 10.097
O 9.939 -2.137 5.970
O 10.234 -6.613 1.488
O 5.126 -6.163 5.134
O 9.899 -12.415 13.575
O 15.505 -9.707 12.666
O 13.735 -14.594 9.035
O 5.754 -14.284 3.304
O 5.429 -9.861 7.775
O 10.613 -10.346 4.158
O 5.850 -4.026 -4.224
O 0.169 -6.698 -3.342
O 1.957 -1.833 0.234
O 7.306 -14.605 7.178
O 8.652 -12.415 8.472
O 10.005 -13.869 6.310
O 5.553 -5.574 -0.361
O 3.648 -7.627 -1.238
O 2.928 -5.848 0.907
O 11.682 -15.324 10.256
O 10.308 -17.567 8.951
O 9.031 -16.148 11.142
O 4.268 -9.828 2.759
O 6.098 -7.737 3.610
O 6.835 -9.539 1.410
O 4.010 -1.098 -0.982
O 5.356 1.093 0.312
O 6.708 -0.361 -1.849
O 11.482 -6.613 6.591
O 9.577 -8.667 5.714
O 8.856 -6.888 7.859
O 8.386 -1.816 2.097
O 7.011 -4.059 0.791
O 5.735 -2.640 2.982
O 10.197 -10.868 9.711
O 12.026 -8.777 10.562
O 12.764 -10.579 8.363
```

## Properties
The formation energy comes out at -3.06 eV/atom.

***

Compound: YHfPS2O12
Source: Materials Project
Functional: GGA-PBE
Structure: relaxed

```
102
Lattice="9.091 0.000 0.000 -4.546 7.876 0.010 0.000 0.028 23.300" Properties=species:S:1:pos:R:3 pbc="T T T"
Y 0.006 0.013 8.346
Y 9.085 0.027 19.996
Y 4.614 2.683 16.120
Y 4.477 2.669 4.470
Y 0.013 5.164 0.583
Y -0.013 5.178 12.232
Hf -4.541 7.891 15.040
Hf 4.541 7.877 3.390
Hf 4.522 2.642 22.808
Hf 4.570 2.628 11.158
Hf 0.123 5.210 7.270
Hf -0.123 5.224 18.920
P 3.191 5.701 5.834
P -3.191 5.715 17.484
P 7.144 2.520 13.594
P 1.947 2.507 1.945
P -1.412 3.053 21.373
P 1.411 3.039 9.723
S -1.924 7.759 5.839
S -1.229 2.318 5.815
S 1.229 2.332 17.465
S 1.924 7.772 17.488
S 3.166 0.429 13.593
S 3.324 4.955 13.596
S 5.767 4.941 1.946
S 5.926 0.415 1.943
S 2.603 5.182 21.358
S -1.209 7.581 21.373
S 1.209 7.567 9.723
S -2.603 5.168 9.708
O 1.803 0.152 7.010
O 3.789 6.340 7.068
O 8.064 1.505 7.009
O 1.027 1.519 18.659
O 5.302 6.354 18.718
O 7.289 0.166 18.660
O 2.808 7.590 16.283
O 0.594 1.679 16.268
O -3.492 6.624 16.238
O 3.492 6.610 4.588
O -0.594 1.666 4.618
O -2.808 7.576 4.633
O 6.279 2.747 14.818
O 3.752 1.024 14.787
O 3.493 4.121 14.780
O 5.598 4.107 3.130
O 5.339 1.010 3.137
O 2.813 2.733 3.169
O 2.892 2.318 0.696
O 5.154 4.280 0.747
O 5.669 1.288 0.743
O 3.423 1.302 12.393
O 3.938 4.294 12.397
O 6.199 2.332 12.346
O 1.798 5.433 22.551
O -0.761 3.692 22.582
O -0.991 6.773 22.561
O 0.991 6.760 10.912
O 0.761 3.678 10.932
O -1.798 5.419 10.901
O -1.735 4.969 8.511
O 0.597 6.908 8.517
O 1.111 3.967 8.466
O -1.111 3.981 20.116
O -0.597 6.922 20.167
O 1.735 4.983 20.161
O -3.512 6.300 9.519
O 2.643 7.779 9.519
O 0.857 1.656 9.452
O -0.857 1.670 21.102
O -2.643 7.793 21.169
O 3.512 6.314 21.169
O 8.014 1.239 13.841
O 1.674 0.327 13.773
O 4.001 6.280 13.793
O 5.091 6.267 2.143
O 7.418 0.313 2.124
O 1.078 1.225 2.191
O 5.553 1.018 17.270
O 2.656 2.522 17.237
O 5.349 4.320 17.266
O 3.742 4.307 5.616
O 6.436 2.508 5.587
O 3.538 1.004 5.620
O 3.432 3.943 21.564
O 6.140 2.953 21.630
O 3.996 1.045 21.535
O 5.096 1.031 9.886
O 2.951 2.940 9.980
O 5.659 3.929 9.914
O 1.026 3.693 1.726
O -1.900 5.188 1.733
O 0.834 6.958 1.723
O -0.834 6.972 13.373
O 1.900 5.202 13.383
O -1.026 3.707 13.376
O -1.125 6.515 6.046
O 1.628 5.596 6.049
O -0.586 3.663 6.011
O 0.586 3.676 17.661
O -1.628 5.609 17.699
O 1.125 6.529 17.696
```

## Properties
The formation energy comes out at -2.82 eV/atom.

***

Compound: Hf3ZnP2S4O24
Source: Materials Project
Functional: GGA-PBE
Structure: relaxed

```
102
Lattice="8.843 -0.005 0.005 -4.426 7.688 -0.003 0.014 0.000 22.837" Properties=species:S:1:pos:R:3 pbc="T T T"
Hf 0.019 0.004 19.618
Hf 8.821 0.033 14.704
Hf 0.024 0.046 3.303
Hf 4.374 2.543 22.307
Hf 4.510 2.502 10.873
Hf 0.022 5.081 0.500
Hf 0.021 5.121 11.891
Hf 0.026 5.178 7.049
Hf -0.002 5.119 18.584
Zn 4.336 7.681 8.066
Zn 4.505 2.582 15.675
Zn 4.354 2.575 4.252
P 6.955 2.585 13.362
P 1.903 2.572 1.952
P 2.547 5.118 20.933
P -1.279 2.920 20.940
P -1.246 7.319 20.946
P 1.335 7.314 9.492
S 2.546 0.044 5.744
S 3.199 5.441 5.723
S 7.519 2.212 5.733
S 1.329 2.220 17.117
S 5.685 5.446 17.121
S 6.282 0.019 17.132
S 3.165 0.349 13.347
S 3.159 4.755 13.344
S 5.691 4.766 1.937
S 5.688 0.347 1.936
S 1.271 2.880 9.502
S -2.557 5.165 9.495
O 1.718 0.216 6.934
O 3.758 6.059 6.919
O 7.775 1.402 6.917
O 1.040 1.375 18.302
O 5.105 6.124 18.312
O 7.164 0.195 18.311
O 2.739 7.468 15.929
O 0.676 1.568 15.921
O -3.391 6.328 15.919
O 3.378 6.322 4.519
O -0.652 1.591 4.519
O -2.736 7.459 4.526
O 6.126 2.826 14.591
O 3.762 0.916 14.541
O 3.328 3.950 14.541
O 5.515 3.953 3.125
O 5.099 0.923 3.128
O 2.731 2.816 3.178
O 2.762 2.326 0.679
O 5.085 4.166 0.720
O 5.494 1.183 0.720
O 3.361 1.193 12.136
O 3.761 4.156 12.131
O 6.075 2.334 12.096
O 1.674 5.369 22.165
O -0.617 3.563 22.164
O -1.020 6.446 22.176
O 0.989 6.448 10.744
O 0.674 3.548 10.713
O -1.692 5.317 10.711
O -1.694 4.879 8.320
O 0.619 6.640 8.282
O 1.045 3.763 8.326
O -1.023 3.794 19.683
O -0.621 6.673 19.681
O 1.666 4.890 19.680
O -3.390 6.330 9.337
O 2.807 7.491 9.323
O 0.694 1.567 9.342
O -0.644 1.537 20.686
O -2.759 7.491 20.691
O 3.435 6.353 20.690
O 7.870 1.328 13.557
O 1.688 0.178 13.521
O 3.756 6.119 13.527
O 5.081 6.125 2.117
O 7.169 0.172 2.111
O 0.979 1.321 2.138
O 5.438 1.182 16.951
O 2.758 2.360 16.914
O 5.084 4.136 16.960
O 3.742 4.113 5.519
O 6.101 2.393 5.481
O 3.440 1.162 5.523
O 3.449 3.900 21.143
O 6.067 2.753 21.177
O 3.799 1.020 21.137
O 5.049 1.002 9.736
O 2.742 2.798 9.749
O 5.446 3.937 9.725
O 0.967 3.774 1.678
O -1.698 4.971 1.696
O 0.688 6.687 1.697
O -0.697 6.682 13.098
O 1.697 4.955 13.109
O -0.955 3.784 13.049
O -1.046 6.468 5.899
O 1.687 5.325 5.900
O -0.659 3.564 5.917
O 0.671 3.541 17.293
O -1.683 5.346 17.295
O 1.043 6.474 17.297
```

## Properties
The formation energy comes out at -2.65 eV/atom.

***

Compound: HfTaP3O12
Source: Materials Project
Functional: GGA-PBE
Structure: relaxed

```
102
Lattice="-5.604 -0.906 6.781 0.343 -6.186 -6.310 15.989 -11.084 11.734" Properties=species:S:1:pos:R:3 pbc="T T T"
Hf 5.724 -3.968 4.201
Hf 13.718 -9.510 10.068
Hf 7.431 -10.329 10.529
Hf -0.563 -4.787 4.662
Hf -1.246 -4.699 -1.657
Hf 6.749 -10.242 4.210
Ta 10.282 -7.128 7.546
Ta 2.288 -1.586 1.679
Ta 11.990 -13.489 13.875
Ta 3.995 -7.947 8.007
Ta 3.313 -7.860 1.688
Ta 11.307 -13.402 7.555
P 2.766 -9.186 -1.443
P 0.240 -7.868 3.243
P 4.072 -4.542 1.164
P 10.517 -10.334 8.906
P 12.215 -12.767 4.294
P 8.329 -15.121 7.365
P 4.131 -9.360 11.196
P 7.210 -7.137 9.101
P 5.779 -10.902 7.493
P -3.765 -5.611 3.500
P -2.409 -1.857 5.199
P -0.690 -3.305 1.489
P 11.443 -14.815 10.744
P 14.522 -12.592 8.649
P 13.091 -16.357 7.040
P 3.547 -11.066 3.048
P 4.903 -7.312 4.747
P 6.622 -8.760 1.037
O 3.763 -3.704 4.759
O 0.508 -9.082 4.114
O -0.542 -5.330 9.089
O 11.809 -10.168 9.686
O 7.668 -14.759 10.992
O 8.236 -9.816 14.887
O 6.952 -14.403 7.502
O 10.266 -9.079 8.015
O 11.206 -12.911 3.114
O -1.087 -8.064 2.448
O 2.993 -3.421 1.274
O 2.534 -8.283 -2.693
O 5.471 -10.065 11.087
O 7.477 -8.351 9.972
O 6.770 -10.785 8.637
O -2.473 -5.444 4.280
O -1.352 -2.943 5.115
O -0.441 -4.186 2.700
O -2.068 -2.587 1.626
O -4.016 -4.356 2.609
O -3.418 -2.001 4.018
O 5.882 -7.333 8.306
O 4.701 -9.781 7.603
O 3.899 -8.457 9.946
O 12.783 -15.520 10.635
O 14.789 -13.805 9.520
O 14.082 -16.240 8.185
O 4.839 -10.899 3.828
O 5.960 -8.398 4.663
O 6.871 -9.641 2.248
O 5.244 -8.042 1.174
O 3.296 -9.811 2.157
O 3.894 -7.456 3.566
O 13.194 -12.787 7.854
O 12.013 -15.236 7.150
O 11.211 -13.912 9.494
O 6.661 -9.584 -0.244
O 2.373 -11.282 3.995
O 5.548 -5.932 4.722
O 14.445 -11.328 9.497
O 13.808 -16.268 5.699
O 10.313 -15.828 10.878
O 4.144 -8.456 12.476
O 8.390 -6.983 8.082
O 5.070 -12.296 7.587
O -3.631 -6.868 2.575
O -3.187 -2.020 6.550
O 0.439 -2.221 1.420
O 8.026 -9.758 12.395
O 9.343 -10.551 9.853
O 7.256 -12.293 11.050
O 0.164 -6.605 4.091
O -0.816 -5.358 6.604
O 1.293 -4.012 5.001
O 11.456 -13.911 12.024
O 10.098 -13.344 14.411
O 12.039 -11.565 13.445
O 3.338 -6.137 8.433
O 4.125 -7.475 6.097
O 2.146 -8.582 7.748
O -0.651 -4.129 0.209
O 0.666 -4.921 -2.334
O -1.421 -6.664 -1.136
O 7.476 -12.060 3.639
O 6.496 -10.813 6.151
O 8.605 -9.467 4.549
O 2.779 -8.282 -0.163
O 1.421 -7.714 2.224
O 3.362 -5.936 1.259
O 10.650 -11.592 7.981
O 11.437 -12.929 5.645
O 9.458 -14.036 7.296
```

## Properties
The formation energy comes out at -3.17 eV/atom.

***

Number 1: corrected total energy (MP2020 scheme) -877.28 eV for the cell shown, calculated total energy -827.81 eV per cell. Number 2: corrected total energy (MP2020 scheme) -824.41 eV for the cell shown, calculated total energy -774.94 eV per cell. Number 3: corrected total energy (MP2020 scheme) -801.66 eV for the cell shown, calculated total energy -752.20 eV per cell. Number 4: corrected total energy (MP2020 scheme) -907.47 eV for the cell shown, calculated total energy -858.01 eV per cell.